TiCrAgS4 (PBE-GGA, optimized geometry); calculated formation energy = -0.9261 eV/atom; calculated total energy = -5.9139 eV per atom; offset from the most stable computed form = 1.26 eV per formula unit
1.0
6.476 0.000 0.000
0.007 7.691 0.000
1.238 1.894 12.651
Ti Cr Ag S
4 4 4 16
direct
0.000 0.000 0.000 Ti
0.070 0.190 0.291 Ti
0.371 0.605 0.710 Ti
0.587 0.463 0.281 Ti
0.466 0.792 0.996 Cr
0.609 0.957 0.279 Cr
0.856 0.851 0.712 Cr
0.864 0.347 0.715 Cr
0.100 0.710 0.299 Ag
0.327 0.099 0.695 Ag
0.477 0.276 0.994 Ag
0.971 0.527 0.996 Ag
0.031 0.612 0.657 S
0.081 0.221 0.114 S
0.136 0.758 0.098 S
0.315 0.035 0.897 S
0.347 0.577 0.887 S
0.415 0.189 0.338 S
0.456 0.690 0.357 S
0.550 0.374 0.652 S
0.552 0.856 0.638 S
0.597 0.527 0.103 S
0.628 0.979 0.099 S
0.801 0.830 0.890 S
0.855 0.285 0.885 S
0.894 0.947 0.375 S
0.902 0.423 0.354 S
0.972 0.120 0.639 S

PuReB2 (PBE-GGA, optimized geometry); calculated formation energy = -0.3828 eV/atom; calculated total energy = -10.4005 eV per atom
1.0
5.787 0.000 0.000
0.000 5.373 0.000
0.000 0.000 6.463
Pu Re B
4 4 8
direct
0.003 0.250 0.164 Pu
0.497 0.750 0.664 Pu
0.503 0.250 0.336 Pu
0.997 0.750 0.836 Pu
0.184 0.250 0.687 Re
0.316 0.750 0.187 Re
0.684 0.250 0.813 Re
0.816 0.750 0.313 Re
0.134 0.580 0.465 B
0.134 0.920 0.465 B
0.366 0.080 0.965 B
0.366 0.420 0.965 B
0.634 0.580 0.035 B
0.634 0.920 0.035 B
0.866 0.080 0.535 B
0.866 0.420 0.535 B

Ti2Cr4Cu3Se12 (PBE-GGA, optimized geometry); calculated formation energy = -0.9045 eV/atom; calculated total energy = -5.8087 eV per atom
1.0
5.230 -5.230 0.000
5.230 5.230 0.000
-4.906 0.000 15.682
Ti Cr Cu Se
4 8 6 24
direct
0.166 0.666 0.834 Ti
0.334 0.834 0.666 Ti
0.666 0.166 0.334 Ti
0.834 0.334 0.166 Ti
0.000 0.000 0.000 Cr
0.000 0.000 0.500 Cr
0.000 0.500 0.000 Cr
0.333 0.334 0.667 Cr
0.334 0.333 0.167 Cr
0.500 0.000 0.500 Cr
0.666 0.667 0.833 Cr
0.667 0.666 0.333 Cr
0.126 0.874 0.250 Cu
0.209 0.459 0.418 Cu
0.459 0.209 0.918 Cu
0.541 0.791 0.082 Cu
0.791 0.541 0.582 Cu
0.874 0.126 0.750 Cu
0.083 0.093 0.162 Se
0.083 0.568 0.162 Se
0.093 0.083 0.662 Se
0.095 0.583 0.670 Se
0.234 0.748 0.997 Se
0.236 0.253 0.006 Se
0.252 0.766 0.503 Se
0.253 0.236 0.506 Se
0.416 0.428 0.828 Se
0.417 0.905 0.830 Se
0.428 0.416 0.328 Se
0.432 0.917 0.338 Se
0.568 0.083 0.662 Se
0.572 0.584 0.672 Se
0.583 0.095 0.170 Se
0.584 0.572 0.172 Se
0.747 0.764 0.494 Se
0.748 0.234 0.497 Se
0.764 0.747 0.994 Se
0.766 0.252 0.003 Se
0.905 0.417 0.330 Se
0.907 0.917 0.338 Se
0.917 0.432 0.838 Se
0.917 0.907 0.838 Se

LaSnPt (PBE-GGA, optimized geometry); calculated formation energy = -1.0554 eV/atom; calculated total energy = -6.0609 eV per atom
1.0
7.627 0.000 0.000
0.000 4.707 0.000
0.000 0.000 8.174
La Sn Pt
4 4 4
direct
0.015 0.250 0.194 La
0.485 0.750 0.694 La
0.515 0.250 0.306 La
0.985 0.750 0.806 La
0.173 0.250 0.583 Sn
0.327 0.750 0.083 Sn
0.673 0.250 0.917 Sn
0.827 0.750 0.417 Sn
0.211 0.750 0.408 Pt
0.289 0.250 0.908 Pt
0.711 0.750 0.092 Pt
0.789 0.250 0.592 Pt

SbPO6 (PBE-GGA, optimized geometry); calculated formation energy = -1.2614 eV/atom; calculated total energy = -6.0444 eV per atom; offset from the most stable computed form = 2.13 eV per formula unit
1.0
8.320 0.000 0.000
0.000 11.798 0.000
-0.647 0.000 6.000
Sb P O
4 4 24
direct
0.053 0.179 0.248 Sb
0.053 0.321 0.748 Sb
0.947 0.679 0.252 Sb
0.947 0.821 0.752 Sb
0.230 0.580 0.836 P
0.230 0.920 0.336 P
0.770 0.080 0.664 P
0.770 0.420 0.164 P
0.100 0.649 0.703 O
0.100 0.851 0.203 O
0.171 0.240 0.529 O
0.171 0.260 0.029 O
0.241 0.043 0.265 O
0.241 0.457 0.765 O
0.315 0.621 0.047 O
0.315 0.879 0.547 O
0.421 0.106 0.826 O
0.421 0.394 0.326 O
0.438 0.632 0.614 O
0.438 0.868 0.114 O
0.562 0.132 0.886 O
0.562 0.368 0.386 O
0.579 0.606 0.674 O
0.579 0.894 0.174 O
0.685 0.121 0.453 O
0.685 0.379 0.953 O
0.759 0.543 0.235 O
0.759 0.957 0.735 O
0.829 0.740 0.971 O
0.829 0.760 0.471 O
0.900 0.149 0.797 O
0.900 0.351 0.297 O

EuAg2 (PBE-GGA, optimized geometry); calculated formation energy = -0.3135 eV/atom; calculated total energy = -5.6209 eV per atom
1.0
4.826 0.000 0.000
0.000 7.504 0.000
0.000 0.000 8.307
Eu Ag
4 8
direct
0.000 0.250 0.044 Eu
0.000 0.750 0.956 Eu
0.500 0.250 0.456 Eu
0.500 0.750 0.544 Eu
0.000 0.052 0.663 Ag
0.000 0.448 0.663 Ag
0.000 0.552 0.337 Ag
0.000 0.948 0.337 Ag
0.500 0.052 0.837 Ag
0.500 0.448 0.837 Ag
0.500 0.552 0.163 Ag
0.500 0.948 0.163 Ag

Si2Sn2O7 (PBE-GGA, optimized geometry); calculated formation energy = -2.5673 eV/atom; calculated total energy = -6.9942 eV per atom
1.0
6.684 0.000 0.000
0.843 6.737 0.000
1.037 1.904 12.700
Si Sn O
8 8 28
direct
0.056 0.195 0.199 Si
0.143 0.217 0.426 Si
0.358 0.118 0.627 Si
0.425 0.696 0.129 Si
0.575 0.304 0.871 Si
0.642 0.882 0.373 Si
0.857 0.783 0.574 Si
0.944 0.805 0.801 Si
0.072 0.277 0.888 Sn
0.151 0.733 0.359 Sn
0.348 0.589 0.652 Sn
0.426 0.828 0.861 Sn
0.574 0.172 0.139 Sn
0.652 0.411 0.348 Sn
0.849 0.267 0.641 Sn
0.928 0.723 0.112 Sn
0.063 0.591 0.777 O
0.078 0.758 0.512 O
0.103 0.923 0.854 O
0.115 0.080 0.328 O
0.153 0.248 0.676 O
0.210 0.746 0.199 O
0.226 0.430 0.380 O
0.268 0.197 0.129 O
0.307 0.092 0.507 O
0.356 0.708 0.010 O
0.409 0.894 0.696 O
0.415 0.140 0.863 O
0.453 0.751 0.374 O
0.464 0.527 0.821 O
0.536 0.473 0.179 O
0.547 0.249 0.626 O
0.585 0.860 0.137 O
0.591 0.106 0.304 O
0.644 0.292 0.990 O
0.693 0.908 0.493 O
0.732 0.803 0.871 O
0.774 0.570 0.620 O
0.790 0.254 0.801 O
0.847 0.752 0.324 O
0.885 0.920 0.672 O
0.897 0.077 0.146 O
0.922 0.242 0.488 O
0.937 0.409 0.223 O

Dy2In (PBE-GGA, optimized geometry); calculated formation energy = -0.3479 eV/atom; calculated total energy = -4.3363 eV per atom
1.0
5.402 0.000 0.000
-2.701 4.678 0.000
0.000 0.000 6.728
Dy In
4 2
direct
0.000 0.000 0.000 Dy
0.000 0.000 0.500 Dy
0.333 0.667 0.250 Dy
0.667 0.333 0.750 Dy
0.333 0.667 0.750 In
0.667 0.333 0.250 In

PrAu (PBE-GGA, optimized geometry); calculated formation energy = -0.7367 eV/atom; calculated total energy = -4.7641 eV per atom
1.0
3.750 0.000 0.000
0.000 3.750 0.000
0.000 0.000 3.750
Pr Au
1 1
direct
0.000 0.000 0.000 Pr
0.500 0.500 0.500 Au

Ba6Ca6Tl5Cu9O29 (PBE-GGA, optimized geometry); calculated formation energy = -1.9552 eV/atom; calculated total energy = -5.5156 eV per atom
1.0
3.880 0.000 0.000
0.000 3.880 0.000
0.000 0.000 52.820
Ba Ca Tl Cu O
6 6 5 9 29
direct
0.000 0.000 0.051 Ba
0.000 0.000 0.251 Ba
0.000 0.000 0.749 Ba
0.000 0.000 0.949 Ba
0.500 0.500 0.401 Ba
0.500 0.500 0.599 Ba
0.000 0.000 0.121 Ca
0.000 0.000 0.184 Ca
0.000 0.000 0.816 Ca
0.000 0.000 0.879 Ca
0.500 0.500 0.469 Ca
0.500 0.500 0.531 Ca
0.000 0.000 0.348 Tl
0.000 0.000 0.652 Tl
0.500 0.500 0.000 Tl
0.500 0.500 0.304 Tl
0.500 0.500 0.696 Tl
0.000 0.000 0.438 Cu
0.000 0.000 0.500 Cu
0.000 0.000 0.562 Cu
0.500 0.500 0.091 Cu
0.500 0.500 0.154 Cu
0.500 0.500 0.214 Cu
0.500 0.500 0.786 Cu
0.500 0.500 0.846 Cu
0.500 0.500 0.909 Cu
0.000 0.000 0.000 O
0.000 0.000 0.308 O
0.000 0.000 0.386 O
0.000 0.000 0.614 O
0.000 0.000 0.692 O
0.000 0.500 0.094 O
0.000 0.500 0.154 O
0.000 0.500 0.214 O
0.000 0.500 0.439 O
0.000 0.500 0.500 O
0.000 0.500 0.561 O
0.000 0.500 0.786 O
0.000 0.500 0.846 O
0.000 0.500 0.906 O
0.500 0.000 0.094 O
0.500 0.000 0.154 O
0.500 0.000 0.214 O
0.500 0.000 0.439 O
0.500 0.000 0.500 O
0.500 0.000 0.561 O
0.500 0.000 0.786 O
0.500 0.000 0.846 O
0.500 0.000 0.906 O
0.500 0.500 0.040 O
0.500 0.500 0.266 O
0.500 0.500 0.344 O
0.500 0.500 0.656 O
0.500 0.500 0.734 O
0.500 0.500 0.960 O

NaEuHfSbO6 (PBE-GGA, optimized geometry); calculated formation energy = -2.8796 eV/atom; calculated total energy = -8.0028 eV per atom
1.0
0.000 4.057 4.057
4.057 0.000 4.057
4.057 4.057 0.000
Na Eu Hf Sb O
1 1 1 1 6
direct
0.000 0.000 0.000 Na
0.500 0.500 0.500 Eu
0.250 0.250 0.250 Hf
0.750 0.750 0.750 Sb
0.505 0.505 0.995 O
0.505 0.995 0.505 O
0.505 0.995 0.995 O
0.995 0.505 0.505 O
0.995 0.505 0.995 O
0.995 0.995 0.505 O

Ce3Ga2Rh2 (PBE-GGA, optimized geometry); calculated formation energy = -0.7174 eV/atom; calculated total energy = -6.2294 eV per atom
1.0
5.581 0.000 0.000
0.000 8.169 0.000
0.000 0.000 13.370
Ce Ga Rh
12 8 8
direct
0.137 0.241 0.250 Ce
0.137 0.259 0.750 Ce
0.337 0.602 0.097 Ce
0.337 0.602 0.403 Ce
0.337 0.898 0.597 Ce
0.337 0.898 0.903 Ce
0.663 0.102 0.097 Ce
0.663 0.102 0.403 Ce
0.663 0.398 0.597 Ce
0.663 0.398 0.903 Ce
0.863 0.741 0.250 Ce
0.863 0.759 0.750 Ce
0.166 0.250 0.000 Ga
0.166 0.250 0.500 Ga
0.368 0.607 0.750 Ga
0.368 0.893 0.250 Ga
0.632 0.107 0.750 Ga
0.632 0.393 0.250 Ga
0.834 0.750 0.000 Ga
0.834 0.750 0.500 Ga
0.122 0.535 0.593 Rh
0.122 0.535 0.907 Rh
0.122 0.965 0.093 Rh
0.122 0.965 0.407 Rh
0.878 0.035 0.593 Rh
0.878 0.035 0.907 Rh
0.878 0.465 0.093 Rh
0.878 0.465 0.407 Rh

WSCl4 (PBE-GGA, optimized geometry); calculated formation energy = -1.2924 eV/atom; calculated total energy = -4.8807 eV per atom; offset from the most stable computed form = 0.00 eV per formula unit
1.0
9.606 0.000 0.000
0.000 13.638 0.000
-4.992 0.000 12.491
W S Cl
8 8 32
direct
0.044 0.140 0.416 W
0.044 0.360 0.916 W
0.371 0.587 0.662 W
0.371 0.913 0.162 W
0.629 0.087 0.838 W
0.629 0.413 0.338 W
0.956 0.640 0.084 W
0.956 0.860 0.584 W
0.011 0.214 0.272 S
0.011 0.286 0.772 S
0.494 0.039 0.232 S
0.494 0.461 0.732 S
0.506 0.539 0.268 S
0.506 0.961 0.768 S
0.989 0.714 0.228 S
0.989 0.786 0.728 S
0.080 0.008 0.645 Cl
0.080 0.492 0.145 Cl
0.130 0.548 0.646 Cl
0.130 0.952 0.146 Cl
0.163 0.684 0.046 Cl
0.163 0.816 0.546 Cl
0.177 0.249 0.044 Cl
0.177 0.251 0.544 Cl
0.264 0.056 0.450 Cl
0.264 0.444 0.950 Cl
0.293 0.558 0.481 Cl
0.293 0.942 0.981 Cl
0.384 0.682 0.807 Cl
0.384 0.818 0.307 Cl
0.453 0.191 0.858 Cl
0.453 0.309 0.358 Cl
0.547 0.691 0.642 Cl
0.547 0.809 0.142 Cl
0.616 0.182 0.693 Cl
0.616 0.318 0.193 Cl
0.707 0.058 0.019 Cl
0.707 0.442 0.519 Cl
0.736 0.556 0.050 Cl
0.736 0.944 0.550 Cl
0.823 0.749 0.456 Cl
0.823 0.751 0.956 Cl
0.837 0.184 0.454 Cl
0.837 0.316 0.954 Cl
0.870 0.048 0.854 Cl
0.870 0.452 0.354 Cl
0.920 0.508 0.855 Cl
0.920 0.992 0.355 Cl